# 1
Below is a relaxed Pr7Ir3 crystal, with properties calculated at the r²SCAN level.

a = 10.1960 Å, b = 10.1960 Å, c = 6.4472 Å
α = 90.00°, β = 90.00°, γ = 120.00°
Space group P6_3mc (No. 186)
Inequivalent atoms, fractional coordinates:
1 Pr 0.0779 0.5389 0.0000 x6
2 Pr 0.1264 0.2528 0.3082 x6
3 Pr 0.3333 0.6667 0.5392 x2
4 Ir 0.1874 0.3749 0.7562 x6

## Properties
Total DFT energy (no corrections), eV per atom: -36.8487
Energy of formation from the pure elements, kJ/mol of formula units: -539



# 2
Below is a relaxed BaNaHg2 crystal, with properties calculated at the r²SCAN level.

a = 7.965 Å, b = 7.965 Å, c = 7.965 Å
α = 90.00°, β = 90.00°, γ = 90.00°
Space group Fm-3m (No. 225)
Inequivalent atoms, fractional coordinates:
1 Ba 0.000 0.000 0.000 x4
2 Na 0.000 0.000 0.500 x4
3 Hg 0.250 0.250 0.250 x8

## Properties
Total DFT energy (no corrections), eV per atom: -32.5961
Energy of formation from the pure elements, kJ/mol of formula units: -153



# 3
Below is a relaxed EuInPt crystal, with properties calculated at the r²SCAN level.

a = 7.432 Å, b = 4.483 Å, c = 8.470 Å
α = 90.00°, β = 90.00°, γ = 90.00°
Space group Pnma (No. 62)
Inequivalent atoms, fractional coordinates:
1 Eu 0.033 0.250 0.179 x4
2 In 0.146 0.250 0.565 x4
3 Pt 0.230 0.750 0.378 x4

## Properties
Total DFT energy (no corrections), eV per atom: -38.4964
Energy of formation from the pure elements, kJ/mol of formula units: -280



# 4
Below is a relaxed BaSn3Pt crystal, with properties calculated at the r²SCAN level.

a = 4.934 Å, b = 4.934 Å, c = 11.217 Å
α = 90.00°, β = 90.00°, γ = 90.00°
Space group I4mm (No. 107)
Inequivalent atoms, fractional coordinates:
1 Ba 0.000 0.000 0.000 x2
2 Sn 0.000 0.000 0.584 x2
3 Sn 0.000 0.500 0.249 x4
4 Pt 0.000 0.000 0.347 x2

## Properties
Total DFT energy (no corrections), eV per atom: -31.1545
Energy of formation from the pure elements, kJ/mol of formula units: -342



# 5
Below is a relaxed Eu2Ga3Ir crystal, with properties calculated at the r²SCAN level.

a = 5.6409 Å, b = 5.6409 Å, c = 8.6603 Å
α = 90.00°, β = 90.00°, γ = 120.00°
Space group P6_3/mmc (No. 194)
Inequivalent atoms, fractional coordinates:
1 Eu 0.3333 0.6667 0.0531 x4
2 Ga 0.1594 0.3188 0.7500 x6
3 Ir 0.0000 0.0000 0.0000 x2

## Properties
Total DFT energy (no corrections), eV per atom: -27.9810
Energy of formation from the pure elements, kJ/mol of formula units: -401



# 6
Below is a relaxed Ti7O13 crystal, with properties calculated at the r²SCAN level.

a = 5.549 Å, b = 7.129 Å, c = 11.328 Å
α = 83.81°, β = 89.27°, γ = 71.55°
Space group P-1 (No. 2)
Inequivalent atoms, fractional coordinates:
1 Ti 0.000 0.000 0.000 x1
2 Ti 0.000 0.500 0.000 x1
3 Ti 0.204 0.289 0.558 x2
4 Ti 0.211 0.486 0.295 x2
5 Ti 0.211 0.788 0.552 x2
6 Ti 0.213 0.989 0.292 x2
7 Ti 0.388 0.264 0.856 x2
8 Ti 0.395 0.760 0.852 x2
9 O 0.033 0.424 0.832 x2
10 O 0.057 0.571 0.592 x2
11 O 0.112 0.733 0.948 x2
12 O 0.128 0.739 0.378 x2
13 O 0.149 0.868 0.706 x2
14 O 0.199 0.050 0.472 x2
15 O 0.242 0.903 0.140 x2
16 O 0.281 0.028 0.900 x2
17 O 0.321 0.212 0.249 x2
18 O 0.366 0.332 0.014 x2
19 O 0.428 0.186 0.684 x2
20 O 0.445 0.345 0.444 x2
21 O 0.498 0.496 0.795 x2

## Properties
Total DFT energy (no corrections), eV per atom: -11.6923
Energy of formation from the pure elements, kJ/mol of formula units: -6333



# 7
Below is a relaxed Pr2Al crystal, with properties calculated at the r²SCAN level.

a = 6.799 Å, b = 5.297 Å, c = 9.952 Å
α = 90.00°, β = 90.00°, γ = 90.00°
Space group Pnma (No. 62)
Inequivalent atoms, fractional coordinates:
1 Pr 0.024 0.250 0.201 x4
2 Pr 0.195 0.250 0.579 x4
3 Al 0.212 0.250 0.898 x4

## Properties
Total DFT energy (no corrections), eV per atom: -22.1209
Energy of formation from the pure elements, kJ/mol of formula units: -79



# 8
Below is a relaxed Rb3Sb5O14 crystal, with properties calculated at the r²SCAN level.

a = 7.212 Å, b = 24.578 Å, c = 7.389 Å
α = 90.00°, β = 90.00°, γ = 90.00°
Space group Pbam (No. 55)
Inequivalent atoms, fractional coordinates:
1 Rb 0.106 0.208 0.000 x4
2 Rb 0.107 0.114 0.500 x4
3 Rb 0.229 0.486 0.500 x4
4 Sb 0.083 0.943 0.000 x4
5 Sb 0.092 0.562 0.000 x4
6 Sb 0.112 0.354 0.263 x8
7 Sb 0.170 0.744 0.500 x4
8 O 0.000 0.000 0.178 x4
9 O 0.031 0.357 0.000 x4
10 O 0.045 0.575 0.254 x8
11 O 0.072 0.220 0.500 x4
12 O 0.115 0.687 0.315 x8
13 O 0.160 0.483 0.000 x4
14 O 0.162 0.092 0.000 x4
15 O 0.164 0.897 0.195 x8
16 O 0.178 0.379 0.500 x4
17 O 0.231 0.790 0.278 x8

## Properties
Total DFT energy (no corrections), eV per atom: -13.2768
Energy of formation from the pure elements, kJ/mol of formula units: -3681



# 9
Below is a relaxed Tl2Pd3Se2 crystal, with properties calculated at the r²SCAN level.

a = 5.8599 Å, b = 5.8599 Å, c = 15.0810 Å
α = 90.00°, β = 90.00°, γ = 120.00°
Space group R-3m (No. 166, hexagonal axes)
Inequivalent atoms, fractional coordinates:
1 Tl 0.0000 0.0000 0.0000 x3
2 Tl 0.0000 0.0000 0.5000 x3
3 Pd 0.0000 0.5000 0.0000 x9
4 Se 0.0000 0.0000 0.2148 x6

## Properties
Total DFT energy (no corrections), eV per atom: -29.5172
Energy of formation from the pure elements, kJ/mol of formula units: -266



# 10
Below is a relaxed TmPaOs2 crystal, with properties calculated at the r²SCAN level.

a = 6.817 Å, b = 6.817 Å, c = 6.817 Å
α = 90.00°, β = 90.00°, γ = 90.00°
Space group Fm-3m (No. 225)
Inequivalent atoms, fractional coordinates:
1 Tm 0.000 0.000 0.000 x4
2 Pa 0.000 0.000 0.500 x4
3 Os 0.250 0.250 0.250 x8

## Properties
Total DFT energy (no corrections), eV per atom: -54.8487
Energy of formation from the pure elements, kJ/mol of formula units: -140



# 11
Below is a relaxed HoBiPd crystal, with properties calculated at the r²SCAN level.

a = 6.660 Å, b = 6.660 Å, c = 6.660 Å
α = 90.00°, β = 90.00°, γ = 90.00°
Space group F-43m (No. 216)
Inequivalent atoms, fractional coordinates:
1 Ho 0.000 0.000 0.000 x4
2 Bi 0.000 0.000 0.500 x4
3 Pd 0.250 0.250 0.750 x4

## Properties
Total DFT energy (no corrections), eV per atom: -39.1525
Energy of formation from the pure elements, kJ/mol of formula units: -300



# 12
Below is a relaxed Li2Te2O5 crystal, with properties calculated at the r²SCAN level.

a = 10.351 Å, b = 4.727 Å, c = 12.098 Å
α = 90.00°, β = 122.59°, γ = 90.00°
Space group P2_1/c (No. 14)
Inequivalent atoms, fractional coordinates:
1 Li 0.075 0.210 0.489 x4
2 Li 0.076 0.688 0.825 x4
3 Te 0.302 0.687 0.650 x4
4 Te 0.303 0.182 0.875 x4
5 O 0.110 0.225 0.342 x4
6 O 0.112 0.713 0.006 x4
7 O 0.235 0.672 0.289 x4
8 O 0.239 0.172 0.171 x4
9 O 0.378 0.509 0.545 x4

## Properties
Total DFT energy (no corrections), eV per atom: -11.0843
Energy of formation from the pure elements, kJ/mol of formula units: -1379



# 13
Below is a relaxed LuGa3 crystal, with properties calculated at the r²SCAN level.

a = 4.178 Å, b = 4.178 Å, c = 4.178 Å
α = 90.00°, β = 90.00°, γ = 90.00°
Space group Pm-3m (No. 221)
Inequivalent atoms, fractional coordinates:
1 Lu 0.000 0.000 0.000 x1
2 Ga 0.000 0.500 0.500 x3

## Properties
Total DFT energy (no corrections), eV per atom: -18.6157
Energy of formation from the pure elements, kJ/mol of formula units: -198



# 14
Below is a relaxed YIr2 crystal, with properties calculated at the r²SCAN level.

a = 7.549 Å, b = 7.549 Å, c = 7.549 Å
α = 90.00°, β = 90.00°, γ = 90.00°
Space group Fd-3m (No. 227, origin choice 2)
Inequivalent atoms, fractional coordinates:
1 Y 0.125 0.125 0.125 x8
2 Ir 0.000 0.000 0.500 x16

## Properties
Total DFT energy (no corrections), eV per atom: -42.5728
Energy of formation from the pure elements, kJ/mol of formula units: -259



# 15
Below is a relaxed Sc4Ge6Rh7 crystal, with properties calculated at the r²SCAN level.

a = 8.131 Å, b = 8.131 Å, c = 8.131 Å
α = 90.00°, β = 90.00°, γ = 90.00°
Space group Im-3m (No. 229)
Inequivalent atoms, fractional coordinates:
1 Sc 0.250 0.250 0.250 x8
2 Ge 0.000 0.000 0.315 x12
3 Rh 0.000 0.000 0.000 x2
4 Rh 0.000 0.250 0.500 x12

## Properties
Total DFT energy (no corrections), eV per atom: -18.4965
Energy of formation from the pure elements, kJ/mol of formula units: -1607



# 16
Below is a relaxed LiMg2 crystal, with properties calculated at the r²SCAN level.

a = 9.371 Å, b = 5.372 Å, c = 5.052 Å
α = 90.00°, β = 90.00°, γ = 90.00°
Space group Cmcm (No. 63)
Inequivalent atoms, fractional coordinates:
1 Li 0.000 0.167 0.250 x4
2 Mg 0.164 0.330 0.750 x8

## Properties
Total DFT energy (no corrections), eV per atom: -3.6033
Energy of formation from the pure elements, kJ/mol of formula units: -8



# 17
Below is a relaxed TbRhO3 crystal, with properties calculated at the r²SCAN level.

a = 5.776 Å, b = 7.600 Å, c = 5.229 Å
α = 90.00°, β = 90.00°, γ = 90.00°
Space group Pnma (No. 62)
Inequivalent atoms, fractional coordinates:
1 Tb 0.084 0.250 0.030 x4
2 Rh 0.000 0.000 0.500 x4
3 O 0.049 0.750 0.370 x4
4 O 0.191 0.560 0.824 x8

## Properties
Total DFT energy (no corrections), eV per atom: -17.1369
Energy of formation from the pure elements, kJ/mol of formula units: -1197